Record 1
Density functional theory data (PBE with a Hubbard U) for a relaxed structure of Bi26Mo10O69.

Structure (extended XYZ):
```
105
Lattice="5.940 0.000 0.000 -0.135 11.964 0.000 -0.010 -5.627 24.689" Properties=species:S:1:pos:R:3 pbc="T T T"
Bi 5.323 -0.136 18.608
Bi 5.312 3.652 18.386
Bi 0.474 6.467 6.078
Bi 0.497 2.654 6.263
Bi 2.923 -2.156 16.689
Bi 2.932 5.640 20.323
Bi 2.864 8.486 8.008
Bi 2.943 0.678 4.374
Bi -0.029 3.596 14.638
Bi -0.024 -0.102 22.388
Bi 5.824 2.737 10.038
Bi 5.817 6.416 2.314
Bi 2.952 -1.932 20.745
Bi 2.861 5.443 16.280
Bi 2.906 8.276 3.982
Bi 2.919 0.869 8.410
Bi 0.043 -0.330 14.800
Bi -0.022 3.805 22.202
Bi 5.741 6.673 9.889
Bi 5.833 2.504 2.447
Bi 2.358 1.697 16.647
Bi 2.331 1.817 20.374
Bi 3.442 4.621 8.035
Bi 3.457 4.496 4.311
Bi 2.435 9.026 12.643
Bi 3.282 6.285 24.615
Mo 5.770 7.779 14.316
Mo 0.074 -4.149 22.879
Mo 5.901 -1.463 10.481
Mo -0.089 10.630 1.907
Mo 5.763 7.739 18.476
Mo 0.057 -1.400 6.176
Mo 2.946 1.109 12.621
Mo 2.909 2.500 24.412
Mo 2.853 5.245 12.080
Mo 2.866 3.920 0.282
O 0.329 1.660 15.629
O 0.301 1.830 21.367
O 5.468 4.672 9.057
O 5.487 4.503 3.299
O 4.127 8.616 14.232
O 4.411 6.561 22.763
O 1.641 -2.182 10.548
O 1.567 11.328 1.831
O 4.513 -0.660 16.369
O 4.468 4.090 20.625
O 1.264 6.989 8.325
O 1.354 2.173 4.040
O 0.014 6.119 14.992
O 5.582 -2.542 22.172
O 5.863 0.152 9.681
O 5.814 9.015 2.682
O 4.816 -4.384 19.891
O 4.764 7.919 16.987
O 0.962 10.757 4.727
O 1.141 -1.579 7.590
O 1.439 -0.400 20.746
O 1.423 3.867 16.309
O 4.345 6.703 3.953
O 4.372 2.442 8.388
O 2.373 -0.531 13.175
O 2.397 4.193 23.892
O 3.392 6.927 11.629
O 3.367 2.245 0.779
O 1.555 -0.491 16.436
O 1.512 3.987 20.577
O 4.217 6.805 8.267
O 4.297 2.348 4.107
O 4.379 -0.295 20.845
O 4.361 3.845 16.164
O 1.402 6.690 3.848
O 1.428 2.471 8.513
O 3.255 1.178 10.851
O 3.216 8.006 1.489
O 2.575 5.117 13.855
O 2.505 -1.596 23.208
O 1.353 -2.858 14.647
O 1.082 6.332 22.029
O 4.689 9.275 9.698
O 4.835 -0.123 2.607
O 4.386 1.559 13.613
O 4.333 2.021 23.414
O 1.412 4.818 11.077
O 1.452 4.385 1.310
O 1.242 1.757 18.503
O 4.554 4.566 6.177
O 0.637 7.654 12.585
O 0.181 1.641 0.018
O 5.316 -1.243 12.142
O 5.160 10.390 0.244
O 4.155 1.752 18.490
O 1.638 4.572 6.173
O 1.007 -2.761 18.650
O 0.900 6.288 18.360
O 4.802 9.100 6.024
O 4.920 0.051 6.334
O 1.611 2.227 12.981
O 1.556 1.422 24.032
O 4.194 4.155 11.667
O 4.226 5.003 0.658
O 3.481 -1.420 18.674
O 3.448 4.927 18.339
O 2.332 7.738 6.028
O 2.375 1.401 6.341
O 2.056 -4.717 22.852
```

Computed properties:
Its offset from the most stable computed form is 164.8 meV per atom. The formation energy comes out at -1.64 eV/atom. The raw total energy is -6.281 eV per atom.

Record 2
Density functional theory data (PBE with a Hubbard U) for a relaxed structure of BiMoO5.

Structure (extended XYZ):
```
28
Lattice="-2.632 -1.982 -4.757 8.429 -3.662 0.239 -4.011 -8.865 5.909" Properties=species:S:1:pos:R:3 pbc="T T T"
Bi 0.607 -1.729 -0.227
Bi 1.178 -12.780 1.619
Bi 2.215 -7.404 -0.580
Bi -0.429 -7.105 1.972
Mo 3.338 -10.733 0.293
Mo -1.552 -3.776 1.099
Mo 2.200 -4.709 -2.416
Mo -0.414 -9.800 3.808
O 1.357 -3.166 -1.943
O -1.255 -9.929 5.431
O 3.336 -5.256 -1.146
O 0.315 -8.126 0.157
O 1.074 -6.088 -2.400
O -1.638 -2.851 -0.416
O 3.372 -8.929 0.625
O -1.586 -5.580 0.767
O 1.471 -6.383 1.235
O -3.786 -7.591 -1.104
O 0.711 -8.421 3.792
O 0.428 -11.343 3.334
O 5.572 -6.919 2.496
O 3.424 -11.659 1.808
O 5.951 -5.711 -3.359
O -4.165 -8.798 4.750
O -1.550 -9.253 2.538
O 3.041 -4.580 -4.039
O 1.720 -11.255 -0.264
O 0.066 -3.255 1.656
```

Computed properties:
Its offset from the most stable computed form is 0.0 meV per atom. The formation energy comes out at -1.56 eV/atom. The raw total energy is -6.251 eV per atom.

Record 3
Density functional theory data (PBE with a Hubbard U) for a relaxed structure of BiMoO5.

Structure (extended XYZ):
```
56
Lattice="6.233 0.000 0.000 0.000 11.999 0.000 0.000 0.000 16.274" Properties=species:S:1:pos:R:3 pbc="T T T"
Bi 5.768 9.837 3.418
Bi 0.464 2.162 12.856
Bi 3.581 3.837 12.856
Bi 0.464 8.161 11.555
Bi 2.652 2.162 4.719
Bi 2.652 8.161 3.418
Bi 3.581 9.837 11.555
Bi 5.768 3.837 4.719
Mo 6.098 4.774 10.008
Mo 3.251 10.774 6.266
Mo 0.135 7.224 6.266
Mo 2.982 1.225 10.008
Mo 0.135 1.225 1.871
Mo 6.098 10.774 14.403
Mo 3.251 4.774 1.871
Mo 2.982 7.224 14.403
O 5.519 3.572 11.427
O 1.565 0.552 1.178
O 1.551 6.551 15.096
O 1.422 9.550 2.470
O 1.694 3.550 13.804
O 5.519 9.572 12.984
O 1.694 9.550 10.607
O 3.831 9.572 4.847
O 1.565 6.551 6.959
O 0.714 8.427 4.847
O 3.831 3.572 3.290
O 3.871 2.061 8.795
O 4.682 11.447 6.959
O 4.811 8.448 10.607
O 0.923 0.129 13.639
O 4.682 5.447 1.178
O 0.714 2.427 3.290
O 4.539 2.449 5.667
O 0.754 9.937 15.616
O 1.551 0.552 9.315
O 2.362 9.937 7.479
O 5.310 11.870 2.635
O 4.811 2.449 13.804
O 4.039 11.870 10.772
O 2.362 3.938 0.658
O 0.754 3.938 8.795
O 4.667 5.447 9.315
O 4.667 11.447 15.096
O 4.039 5.870 13.639
O 5.479 8.061 7.479
O 5.479 2.061 0.658
O 3.871 8.061 15.616
O 5.310 5.870 5.502
O 4.539 8.448 2.470
O 1.422 3.550 5.667
O 0.923 6.128 10.772
O 2.194 6.128 2.635
O 2.402 2.427 11.427
O 2.194 0.129 5.502
O 2.402 8.427 12.984
```

Computed properties:
Its offset from the most stable computed form is 28.4 meV per atom. The formation energy comes out at -1.53 eV/atom. The raw total energy is -6.223 eV per atom.

Record 4
Density functional theory data (PBE with a Hubbard U) for a relaxed structure of BiMo2O10.

Structure (extended XYZ):
```
26
Lattice="5.179 0.000 -2.760 0.000 11.685 0.000 -0.049 0.000 6.479" Properties=species:S:1:pos:R:3 pbc="T T T"
Bi 2.060 2.921 3.137
Bi 3.071 8.763 0.582
Mo 3.202 4.730 -0.373
Mo 1.928 10.572 4.092
Mo 1.928 6.955 4.092
Mo 3.202 1.113 -0.373
O 4.982 2.921 3.410
O 0.149 8.763 0.309
O 2.761 2.921 -1.104
O 2.370 8.763 4.823
O 1.933 5.051 4.399
O 3.198 10.893 -0.680
O 3.198 6.633 -0.680
O 1.933 0.791 4.399
O 4.213 4.044 3.291
O 0.918 9.886 0.428
O 0.918 7.641 0.428
O 4.213 1.798 3.291
O 2.397 4.502 1.166
O 2.734 10.344 2.553
O 2.734 7.183 2.553
O 2.397 1.341 1.166
O 4.886 4.381 -0.110
O 0.245 10.223 3.829
O 0.245 7.304 3.829
O 4.886 1.462 -0.110
```

Computed properties:
Its offset from the most stable computed form is 162.3 meV per atom. The formation energy comes out at -1.04 eV/atom. The raw total energy is -6.324 eV per atom.

Record 5
Density functional theory data (PBE with a Hubbard U) for a relaxed structure of Bi14Mo5O36.

Structure (extended XYZ):
```
55
Lattice="2.867 17.449 0.000 -2.867 17.449 0.000 0.000 1.506 8.635" Properties=species:S:1:pos:R:3 pbc="T T T"
Bi 0.042 10.220 7.009
Bi 0.042 26.184 1.626
Bi 0.379 8.054 4.039
Bi 0.379 28.349 4.596
Bi 0.049 24.876 6.659
Bi 0.049 11.527 1.976
Bi -0.113 22.668 3.796
Bi -0.113 13.736 4.839
Bi -0.121 4.728 6.280
Bi -0.121 31.675 2.355
Bi 0.023 2.382 3.355
Bi 0.023 34.021 5.280
Bi 0.000 19.406 5.777
Bi 0.000 16.997 2.858
Mo 2.834 17.449 0.000
Mo -0.048 16.120 8.173
Mo -0.048 20.283 0.462
Mo 0.167 30.596 7.794
Mo 0.167 5.807 0.842
O 1.268 26.600 5.974
O 1.268 9.804 2.661
O -1.486 26.507 5.700
O -1.486 9.897 2.935
O 1.273 23.614 5.324
O 1.273 12.789 3.311
O -1.524 23.681 5.234
O -1.524 12.722 3.402
O 1.567 20.892 4.836
O 1.567 15.512 3.799
O -1.357 20.936 4.738
O -1.357 15.467 3.897
O 1.356 18.202 4.318
O -1.535 18.202 4.318
O -0.940 17.248 7.061
O -0.940 19.155 1.574
O 0.778 15.166 1.087
O 0.778 21.237 7.548
O -1.215 13.370 0.152
O -1.215 23.033 8.483
O 1.048 15.214 7.112
O 1.048 21.189 1.523
O 0.657 31.544 6.312
O 0.657 4.859 2.323
O -0.720 29.618 0.673
O -0.720 6.786 7.962
O -1.354 12.052 8.320
O -1.354 24.351 0.315
O -0.976 29.382 7.087
O -0.976 7.021 1.548
O -1.923 20.082 7.607
O -1.923 16.321 1.028
O 1.783 18.351 1.156
O 1.783 18.053 7.479
O -0.485 11.477 5.399
O -0.485 24.926 3.237
```

Computed properties:
The formation energy comes out at -1.82 eV/atom. The raw total energy is -6.299 eV per atom.